# LaMgI5 PBE relaxed
data_LaMgI5
_symmetry_space_group_name_H-M 'P 1'
_symmetry_Int_Tables_number 1
_cell_length_a 4.357
_cell_length_b 15.225
_cell_length_c 17.526
_cell_angle_alpha 90.00
_cell_angle_beta 90.00
_cell_angle_gamma 90.00
loop_
_symmetry_equiv_pos_as_xyz
'x,y,z'
loop_
_atom_site_label
_atom_site_fract_x
_atom_site_fract_y
_atom_site_fract_z
La1 0.250 0.244 0.344
La2 0.250 0.256 0.844
La3 0.750 0.756 0.656
La4 0.750 0.744 0.156
I1 0.750 0.655 0.974
I2 0.250 0.651 0.767
I3 0.750 0.151 0.733
I4 0.750 0.864 0.838
I5 0.750 0.363 0.448
I6 0.250 0.594 0.154
I7 0.750 0.636 0.338
I8 0.250 0.364 0.662
I9 0.250 0.155 0.526
I10 0.750 0.094 0.346
I11 0.750 0.137 0.948
I12 0.750 0.845 0.474
I13 0.750 0.349 0.233
I14 0.750 0.406 0.846
I15 0.250 0.906 0.654
I16 0.250 0.849 0.267
I17 0.250 0.345 0.026
I18 0.250 0.863 0.052
I19 0.250 0.136 0.162
I20 0.250 0.637 0.552
Mg1 0.250 0.762 0.908
Mg2 0.750 0.238 0.092
Mg3 0.750 0.262 0.592
Mg4 0.250 0.738 0.408
# Formation enthalpy at 0 K: -1.591 eV/atom
# Symmetry: Pnma
# Relative energy among the computed polymorphs: 3 meV per atom